RbMo3Cl7: relaxed, PBE-GGA.

Cell and atoms, written as CIF:
```
data_RbMo3Cl7
_cell_length_a 19.857
_cell_length_b 15.147
_cell_length_c 9.520
_cell_angle_alpha 90.00
_cell_angle_beta 115.78
_cell_angle_gamma 90.00
_symmetry_space_group_name_H-M 'C 1 2/c 1'
_symmetry_Int_Tables_number 15
loop_
_symmetry_equiv_pos_as_xyz
'x,y,z'
'-x,-y,-z'
'-x,y,-z+1/2'
'x,-y,z+1/2'
'x+1/2,y+1/2,z'
'-x+1/2,-y+1/2,-z'
'-x+1/2,y+1/2,-z+1/2'
'x+1/2,-y+1/2,z+1/2'
loop_
_atom_site_label
_atom_site_fract_x
_atom_site_fract_y
_atom_site_fract_z
_atom_site_occupancy
Rb1 0.000 0.000 0.000 1
Rb2 0.000 0.432 0.250 1
Mo1 0.172 0.310 0.841 1
Mo2 0.195 0.147 0.945 1
Mo3 0.209 0.278 0.137 1
Cl1 0.069 0.391 0.633 1
Cl2 0.085 0.234 0.928 1
Cl3 0.121 0.007 0.867 1
Cl4 0.155 0.315 0.316 1
Cl5 0.162 0.182 0.667 1
Cl6 0.190 0.431 0.030 1
Cl7 0.232 0.123 0.228 1
```

---

KCaN: relaxed, PBE-GGA.

Cell and atoms, written as CIF:
```
data_KCaN
_cell_length_a 6.770
_cell_length_b 3.906
_cell_length_c 6.667
_cell_angle_alpha 90.00
_cell_angle_beta 109.88
_cell_angle_gamma 90.00
_symmetry_space_group_name_H-M 'C 1 m 1'
_symmetry_Int_Tables_number 8
loop_
_symmetry_equiv_pos_as_xyz
'x,y,z'
'x,-y,z'
'x+1/2,y+1/2,z'
'x+1/2,-y+1/2,z'
loop_
_atom_site_label
_atom_site_fract_x
_atom_site_fract_y
_atom_site_fract_z
_atom_site_occupancy
K1 0.000 0.000 0.000 1
Ca1 0.466 0.000 0.397 1
N1 0.262 0.500 0.284 1
```

---

# PBE-GGA Dy3Se4O12F, relaxed
data_Dy3Se4O12F
_cell_length_a 10.4630
_cell_length_b 10.4630
_cell_length_c 6.8862
_cell_angle_alpha 90.00
_cell_angle_beta 90.00
_cell_angle_gamma 120.00
_symmetry_space_group_name_H-M 'P 63 m c'
_symmetry_Int_Tables_number 186
_symmetry_space_group_name_Hall 'P 6c -2c'
loop_
_atom_site_label
_atom_site_fract_x
_atom_site_fract_y
_atom_site_fract_z
_atom_site_occupancy
Dy1 0.0756 0.5378 0.0000 1
Se1 0.1550 0.3100 0.7669 1
Se2 0.3333 0.6667 0.4340 1
O1 0.0806 0.4169 0.6970 1
O2 0.1616 0.5808 0.3213 1
O3 0.1822 0.3645 0.0066 1
F1 0.3333 0.6667 0.9546 1
# piezoelectric modulus e_max = 0.288 C/m2

---

ErPS4: relaxed, PBE-GGA.

Cell and atoms, written as CIF:
```
data_ErPS4
_cell_length_a 10.747
_cell_length_b 10.747
_cell_length_c 19.017
_cell_angle_alpha 90.00
_cell_angle_beta 90.00
_cell_angle_gamma 90.00
_symmetry_space_group_name_H-M 'I 41/a c d'
_symmetry_Int_Tables_number 142
loop_
_symmetry_equiv_pos_as_xyz
'x,y,z'
'-x,-y,-z'
'-y+1/4,x+3/4,z+1/4'
'y+1/4,-x+3/4,-z+1/4'
'-x+1/2,-y,z+1/2'
'x+1/2,y,-z+1/2'
'y+1/4,-x+1/4,z+3/4'
'-y+1/4,x+1/4,-z+3/4'
'x,-y,-z+1/2'
'-x,y,z+1/2'
'-y+1/4,-x+1/4,-z+1/4'
'y+1/4,x+1/4,z+1/4'
'-x+1/2,y,-z'
'x+1/2,-y,z'
'y+1/4,x+3/4,-z+3/4'
'-y+1/4,-x+3/4,z+3/4'
'x+1/2,y+1/2,z+1/2'
'-x+1/2,-y+1/2,-z+1/2'
'-y+3/4,x+1/4,z+3/4'
'y+3/4,-x+1/4,-z+3/4'
'-x,-y+1/2,z'
'x,y+1/2,-z'
'y+3/4,-x+3/4,z+1/4'
'-y+3/4,x+3/4,-z+1/4'
'x+1/2,-y+1/2,-z'
'-x+1/2,y+1/2,z'
'-y+3/4,-x+3/4,-z+3/4'
'y+3/4,x+3/4,z+3/4'
'-x,y+1/2,-z+1/2'
'x,-y+1/2,z+1/2'
'y+3/4,x+1/4,-z+1/4'
'-y+3/4,-x+1/4,z+1/4'
loop_
_atom_site_label
_atom_site_fract_x
_atom_site_fract_y
_atom_site_fract_z
_atom_site_occupancy
Er1 0.000 0.250 0.125 1
Er2 0.000 0.250 0.375 1
P1 0.038 0.000 0.250 1
S1 0.064 0.004 0.841 1
S2 0.086 0.114 0.003 1
```

---

| no. | V (Å³ per atom) | total DFT energy (no corrections) (eV per atom) | ρ (g/cm3) |
| --- | --- | --- | --- |
| 1 | 29.3 | -5.357 | 3.2 |
| 2 | 27.6 | -3.941 | 1.9 |
| 3 | 16.3 | -6.505 | 5.2 |
| 4 | 22.9 | -5.432 | 3.9 |